Na10Zr2Zn6Si3S9O48: relaxed, PBE-GGA.

a = 9.0474 Å, b = 15.6229 Å, c = 22.6391 Å
α = 90.05°, β = 90.27°, γ = 90.18°
With the nearest neighbours (Å) after each atom.
Space group P1 (No. 1)
Symmetry-distinct sites (fractional):
Na1 0.0000 0.0000 0.0000 (multiplicity 1)  5 O 2.40-2.69
Na2 0.0003 0.0343 0.3289 (multiplicity 1)  5 O 2.39-2.64
Na3 0.1247 0.5005 0.4991 (multiplicity 1)  4 O 2.41-2.54
Na4 0.1257 0.5347 0.8282 (multiplicity 1)  5 O 2.39-2.63
Na5 0.1416 0.1676 0.8376 (multiplicity 1)  6 O 2.42-2.70
Na6 0.1733 0.1910 0.4997 (multiplicity 1)  5 O 2.45-2.62
Na7 0.1841 0.5241 0.1635 (multiplicity 1)  3 O 2.29-2.43
Na8 0.2963 0.3573 0.5799 (multiplicity 1)  3 O 2.34-2.59
Na9 0.3045 0.6868 0.7432 (multiplicity 1)  5 O 2.47-2.73
Na10 0.3121 0.0162 0.4136 (multiplicity 1)  6 O 2.50-2.69
Na11 0.3123 0.0233 0.9173 (multiplicity 1)  6 O 2.47-2.73
Na12 0.3200 0.3435 0.0791 (multiplicity 1)  5 O 2.47-2.68
Na13 0.3244 0.6774 0.2456 (multiplicity 1)  5 O 2.36-2.63
Na14 0.4472 0.8540 0.3363 (multiplicity 1)  5 O 2.38-2.63
Na15 0.4837 0.1632 0.3322 (multiplicity 1)  5 O 2.43-2.65
Na16 0.4885 0.8702 0.0011 (multiplicity 1)  4 O 2.40-2.53
Na17 0.4987 0.4971 0.0032 (multiplicity 1)  6 O 2.40-2.60
Na18 0.5017 0.1921 0.6688 (multiplicity 1)  3 O 2.32-2.55
Na19 0.6226 0.0418 0.8268 (multiplicity 1)  5 O 2.37-2.55
Na20 0.6251 0.9971 0.5039 (multiplicity 1)  6 O 2.43-2.68
Na21 0.6352 0.3718 0.4998 (multiplicity 1)  4 O 2.40-2.54
Na22 0.6417 0.6626 0.8321 (multiplicity 1)  5 O 2.44-2.66
Na23 0.6713 0.3510 0.8355 (multiplicity 1)  5 O 2.43-2.65
Na24 0.8070 0.1791 0.7445 (multiplicity 1)  4 O 2.37-2.61
Na25 0.8113 0.5162 0.9137 (multiplicity 1)  6 O 2.48-2.66
Na26 0.8111 0.8482 0.5801 (multiplicity 1)  6 O 2.54-2.71
Na27 0.8138 0.5229 0.4156 (multiplicity 1)  6 O 2.59-2.70
Na28 0.8191 0.1875 0.2437 (multiplicity 1)  6 O 2.51-2.78
Na29 0.8233 0.8516 0.0802 (multiplicity 1)  4 O 2.37-2.63
Na30 0.9516 0.6900 0.0010 (multiplicity 1)  6 O 2.46-2.71
Zr1 0.3017 0.6904 0.8974 (multiplicity 1)  5 O 1.97-2.21
Zr2 0.3139 0.3517 0.2294 (multiplicity 1)  6 O 2.00-2.19
Zr3 0.3196 0.3554 0.7336 (multiplicity 1)  4 O 1.96-2.16
Zr4 0.8098 0.8545 0.2315 (multiplicity 1)  5 O 1.96-2.15
Zr5 0.8174 0.8510 0.7264 (multiplicity 1)  6 O 2.01-2.21
Zr6 0.8226 0.1911 0.3965 (multiplicity 1)  5 O 1.96-2.19
Zn1 0.2818 0.3490 0.4294 (multiplicity 1)  3 O 1.92-2.05
Zn2 0.3088 0.0192 0.0661 (multiplicity 1)  6 O 2.01-2.23
Zn3 0.3086 0.6806 0.4039 (multiplicity 1)  4 O 2.02-2.19
Zn4 0.3117 0.6879 0.5969 (multiplicity 1)  6 O 2.04-2.26
Zn5 0.3151 0.6889 0.1030 (multiplicity 1)  3 O 1.93-2.14
Zn6 0.3206 0.0247 0.2672 (multiplicity 1)  5 O 2.01-2.20
Zn7 0.3219 0.0064 0.5754 (multiplicity 1)  2 O 1.89-1.98
Zn8 0.3292 0.3459 0.9277 (multiplicity 1)  2 O 1.89-1.95
Zn9 0.3297 0.0240 0.7608 (multiplicity 1)  3 O 1.92-2.09
Zn10 0.7961 0.1873 0.9035 (multiplicity 1)  4 O 2.03-2.15
Zn11 0.7967 0.5213 0.2600 (multiplicity 1)  2 O 1.87-2.06
Zn12 0.7978 0.5093 0.0767 (multiplicity 1)  2 O 1.89-2.01
Zn13 0.8042 0.5254 0.7668 (multiplicity 1)  5 O 2.00-2.20
Zn14 0.8072 0.8483 0.4305 (multiplicity 1)  3 O 1.95-2.12
Zn15 0.8118 0.1876 0.0966 (multiplicity 1)  6 O 2.03-2.27
Zn16 0.8165 0.5201 0.5654 (multiplicity 1)  6 O 2.02-2.22
Zn17 0.8229 0.1824 0.6019 (multiplicity 1)  4 O 1.93-2.15
Zn18 0.8414 0.8460 0.9309 (multiplicity 1)  3 O 1.91-2.07
Si1 0.1663 0.8347 0.0057 (multiplicity 1)  4 O 1.61-1.69
Si2 0.1706 0.2028 0.3341 (multiplicity 1)  4 O 1.62-1.66
Si3 0.4601 0.1997 0.8348 (multiplicity 1)  4 O 1.60-1.70
Si4 0.4648 0.4998 0.8381 (multiplicity 1)  4 O 1.61-1.67
Si5 0.5150 0.5246 0.1636 (multiplicity 1)  4 O 1.60-1.72
Si6 0.6143 0.0222 0.6632 (multiplicity 1)  4 O 1.63-1.67
Si7 0.6612 0.9974 0.3376 (multiplicity 1)  4 O 1.61-1.68
Si8 0.9543 0.7028 0.8342 (multiplicity 1)  4 O 1.62-1.66
Si9 0.9590 0.3350 0.5057 (multiplicity 1)  4 O 1.61-1.68
S1 0.0178 0.0205 0.1662 (multiplicity 1)  4 O 1.47-1.54
S2 0.0196 0.3504 0.8345 (multiplicity 1)  4 O 1.47-1.52
S3 0.0197 0.6882 0.4997 (multiplicity 1)  4 O 1.48-1.51
S4 0.1022 0.1879 0.9994 (multiplicity 1)  4 O 1.47-1.52
S5 0.1061 0.8474 0.3346 (multiplicity 1)  4 O 1.47-1.52
S6 0.1067 0.5208 0.6659 (multiplicity 1)  4 O 1.48-1.53
S7 0.1604 0.5032 0.3332 (multiplicity 1)  4 O 1.47-1.52
S8 0.1603 0.5339 0.0012 (multiplicity 1)  4 O 1.47-1.54
S9 0.1632 0.1650 0.6665 (multiplicity 1)  4 O 1.46-1.54
S10 0.1720 0.8706 0.6665 (multiplicity 1)  4 O 1.47-1.53
S11 0.4565 0.8733 0.1674 (multiplicity 1)  4 O 1.46-1.55
S12 0.4575 0.8307 0.4985 (multiplicity 1)  4 O 1.47-1.51
S13 0.4587 0.5406 0.4998 (multiplicity 1)  4 O 1.48-1.51
S14 0.4648 0.1631 0.1649 (multiplicity 1)  4 O 1.47-1.53
S15 0.5150 0.1857 0.5003 (multiplicity 1)  4 O 1.47-1.52
S16 0.5233 0.8537 0.8352 (multiplicity 1)  4 O 1.47-1.51
S17 0.6051 0.3564 0.3363 (multiplicity 1)  4 O 1.46-1.53
S18 0.6090 0.6856 0.0000 (multiplicity 1)  4 O 1.46-1.52
S19 0.6597 0.6630 0.6646 (multiplicity 1)  4 O 1.47-1.53
S20 0.6651 0.0387 0.9998 (multiplicity 1)  4 O 1.48-1.51
S21 0.6662 0.7025 0.3351 (multiplicity 1)  4 O 1.46-1.54
S22 0.6673 0.3740 0.6664 (multiplicity 1)  4 O 1.47-1.55
S23 0.6678 0.3332 0.0003 (multiplicity 1)  4 O 1.47-1.50
S24 0.9547 0.3701 0.1666 (multiplicity 1)  4 O 1.47-1.53
S25 0.9575 0.6641 0.1660 (multiplicity 1)  4 O 1.47-1.52
S26 0.9624 0.9992 0.8341 (multiplicity 1)  4 O 1.47-1.50
S27 0.9636 0.0348 0.5007 (multiplicity 1)  4 O 1.47-1.54
O1 0.0037 0.1777 0.6635 (multiplicity 1)  1 S 1.46
O2 0.0046 0.8603 0.6718 (multiplicity 1)  1 S 1.53
O3 0.0067 0.1959 0.0520 (multiplicity 1)  1 S 1.48
O4 0.0100 0.1727 0.9443 (multiplicity 1)  1 S 1.52
O5 0.0098 0.8357 0.2802 (multiplicity 1)  1 S 1.52
O6 0.0119 0.8619 0.3863 (multiplicity 1)  1 S 1.47
O7 0.0165 0.5082 0.6121 (multiplicity 1)  1 S 1.48
O8 0.0176 0.5285 0.7204 (multiplicity 1)  1 S 1.48
O9 0.1063 0.0070 0.1125 (multiplicity 1)  1 S 1.47
O10 0.1074 0.0286 0.2207 (multiplicity 1)  1 S 1.48
O11 0.1121 0.3680 0.8865 (multiplicity 1)  1 S 1.47
O12 0.1116 0.6998 0.5532 (multiplicity 1)  1 S 1.48
O13 0.1130 0.6718 0.4465 (multiplicity 1)  1 S 1.50
O14 0.1166 0.3367 0.7807 (multiplicity 1)  1 S 1.52
O15 0.1193 0.6748 0.1633 (multiplicity 1)  1 S 1.47
O16 0.1227 0.0076 0.8261 (multiplicity 1)  1 S 1.47
O17 0.1230 0.3633 0.1721 (multiplicity 1)  1 S 1.53
O18 0.1271 0.0327 0.5053 (multiplicity 1)  1 S 1.48
O19 0.1373 0.6935 0.8380 (multiplicity 1)  1 Si 1.66
O20 0.1395 0.3466 0.4976 (multiplicity 1)  1 Si 1.65
O21 0.1880 0.9217 0.6121 (multiplicity 1)  1 S 1.48
O22 0.1901 0.4524 0.3876 (multiplicity 1)  1 S 1.49
O23 0.1927 0.5907 0.9469 (multiplicity 1)  1 S 1.54
O24 0.1933 0.7667 0.0578 (multiplicity 1)  1 Si 1.61
O25 0.1944 0.1078 0.0046 (multiplicity 1)  1 S 1.51
O26 0.1951 0.1155 0.7207 (multiplicity 1)  1 S 1.48
O27 0.1959 0.2648 0.9953 (multiplicity 1)  1 S 1.47
O28 0.1975 0.9263 0.3268 (multiplicity 1)  1 S 1.49
O29 0.2015 0.4402 0.6704 (multiplicity 1)  1 S 1.53
O30 0.2054 0.2647 0.2778 (multiplicity 1)  1 Si 1.63
O31 0.2051 0.5965 0.6613 (multiplicity 1)  1 S 1.48
O32 0.2047 0.7725 0.3384 (multiplicity 1)  1 S 1.48
O33 0.2282 0.4492 0.9930 (multiplicity 1)  1 S 1.47
O34 0.2284 0.4589 0.2800 (multiplicity 1)  1 S 1.52
O35 0.2294 0.1261 0.6127 (multiplicity 1)  1 S 1.49
O36 0.2290 0.5738 0.0535 (multiplicity 1)  1 S 1.47
O37 0.2309 0.9125 0.7197 (multiplicity 1)  1 S 1.47
O38 0.2340 0.1055 0.3266 (multiplicity 1)  1 Si 1.63
O39 0.2339 0.5882 0.3370 (multiplicity 1)  1 S 1.49
O40 0.2371 0.7837 0.6611 (multiplicity 1)  1 S 1.49
O41 0.2406 0.2525 0.6710 (multiplicity 1)  1 S 1.54
O42 0.2438 0.7898 0.9458 (multiplicity 1)  1 Si 1.69
O43 0.2450 0.9301 0.0074 (multiplicity 1)  1 Si 1.65
O44 0.2493 0.2393 0.3934 (multiplicity 1)  1 Si 1.62
O45 0.3702 0.2422 0.8881 (multiplicity 1)  1 Si 1.60
O46 0.3752 0.4551 0.7810 (multiplicity 1)  1 Si 1.67
O47 0.3843 0.1044 0.8281 (multiplicity 1)  1 Si 1.64
O48 0.3872 0.5796 0.5522 (multiplicity 1)  1 S 1.49
O49 0.3895 0.9186 0.5013 (multiplicity 1)  1 S 1.51
O50 0.3917 0.4522 0.4945 (multiplicity 1)  1 S 1.51
O51 0.3919 0.5967 0.8402 (multiplicity 1)  1 Si 1.65
O52 0.3941 0.1225 0.1135 (multiplicity 1)  1 S 1.47
O53 0.3941 0.7871 0.1637 (multiplicity 1)  1 S 1.46
O54 0.3953 0.2516 0.1705 (multiplicity 1)  1 S 1.53
O55 0.3966 0.6044 0.1593 (multiplicity 1)  1 Si 1.65
O56 0.3985 0.9156 0.2209 (multiplicity 1)  1 S 1.48
O57 0.4008 0.7912 0.4425 (multiplicity 1)  1 S 1.50
O58 0.4019 0.4370 0.1727 (multiplicity 1)  1 Si 1.72
O59 0.4152 0.1101 0.5019 (multiplicity 1)  1 S 1.49
O60 0.4232 0.9265 0.8276 (multiplicity 1)  1 S 1.47
O61 0.4236 0.7792 0.5508 (multiplicity 1)  1 S 1.47
O62 0.4277 0.2662 0.4948 (multiplicity 1)  1 S 1.49
O63 0.4311 0.2627 0.7745 (multiplicity 1)  1 Si 1.70
O64 0.4320 0.5910 0.4457 (multiplicity 1)  1 S 1.48
O65 0.4361 0.4450 0.8971 (multiplicity 1)  1 Si 1.61
O66 0.4369 0.7708 0.8384 (multiplicity 1)  1 S 1.51
O67 0.4374 0.9245 0.1131 (multiplicity 1)  1 S 1.48
O68 0.4400 0.1159 0.2208 (multiplicity 1)  1 S 1.48
O69 0.4838 0.0043 0.3278 (multiplicity 1)  1 Si 1.62
O70 0.4971 0.3635 0.6702 (multiplicity 1)  1 S 1.55
O71 0.4979 0.6748 0.6583 (multiplicity 1)  1 S 1.48
O72 0.5008 0.7011 0.3371 (multiplicity 1)  1 S 1.50
O73 0.5025 0.0288 0.0060 (multiplicity 1)  1 S 1.49
O74 0.5032 0.3434 0.9985 (multiplicity 1)  1 S 1.50
O75 0.5071 0.3427 0.2834 (multiplicity 1)  1 S 1.50
O76 0.5130 0.6950 0.0514 (multiplicity 1)  1 S 1.46
O77 0.5156 0.6723 0.9450 (multiplicity 1)  1 S 1.52
O78 0.5172 0.3659 0.3901 (multiplicity 1)  1 S 1.47
O79 0.5178 0.0390 0.7231 (multiplicity 1)  1 Si 1.64
O80 0.5195 0.0053 0.6028 (multiplicity 1)  1 Si 1.63
O81 0.5996 0.5037 0.1017 (multiplicity 1)  1 Si 1.63
O82 0.6082 0.1952 0.5531 (multiplicity 1)  1 S 1.47
O83 0.6111 0.1722 0.4463 (multiplicity 1)  1 S 1.52
O84 0.6120 0.8668 0.8894 (multiplicity 1)  1 S 1.48
O85 0.6149 0.5353 0.2218 (multiplicity 1)  1 Si 1.60
O86 0.6203 0.8409 0.7829 (multiplicity 1)  1 S 1.49
O87 0.6216 0.5299 0.5063 (multiplicity 1)  1 S 1.49
O88 0.6227 0.8417 0.4969 (multiplicity 1)  1 S 1.50
O89 0.6259 0.8633 0.1738 (multiplicity 1)  1 S 1.55
O90 0.6270 0.1747 0.1585 (multiplicity 1)  1 S 1.49
O91 0.6418 0.5049 0.8275 (multiplicity 1)  1 Si 1.62
O92 0.6426 0.1953 0.8381 (multiplicity 1)  1 Si 1.65
O93 0.6849 0.6160 0.7207 (multiplicity 1)  1 S 1.48
O94 0.6892 0.2717 0.3382 (multiplicity 1)  1 S 1.53
O95 0.6903 0.9400 0.3955 (multiplicity 1)  1 Si 1.61
O96 0.6910 0.4243 0.6124 (multiplicity 1)  1 S 1.47
O97 0.6925 0.0865 0.9441 (multiplicity 1)  1 S 1.49
O98 0.6969 0.7664 0.9952 (multiplicity 1)  1 S 1.49
O99 0.6991 0.7601 0.2816 (multiplicity 1)  1 S 1.54
O100 0.7019 0.2803 0.0520 (multiplicity 1)  1 S 1.47
O101 0.7080 0.4278 0.3287 (multiplicity 1)  1 S 1.46
O102 0.7084 0.6103 0.0023 (multiplicity 1)  1 S 1.48
O103 0.7138 0.1104 0.6585 (multiplicity 1)  1 Si 1.65
O104 0.7178 0.9351 0.6726 (multiplicity 1)  1 Si 1.67
O105 0.7238 0.2952 0.9441 (multiplicity 1)  1 S 1.49
O106 0.7241 0.4154 0.7205 (multiplicity 1)  1 S 1.47
O107 0.7255 0.2862 0.6633 (multiplicity 1)  1 S 1.47
O108 0.7294 0.6222 0.6134 (multiplicity 1)  1 S 1.47
O109 0.7298 0.7427 0.3879 (multiplicity 1)  1 S 1.47
O110 0.7307 0.7513 0.6701 (multiplicity 1)  1 S 1.53
O111 0.7324 0.6180 0.3278 (multiplicity 1)  1 S 1.46
O112 0.7316 0.9506 0.9955 (multiplicity 1)  1 S 1.51
O113 0.7348 0.0943 0.3400 (multiplicity 1)  1 Si 1.65
O114 0.7375 0.0800 0.0512 (multiplicity 1)  1 S 1.48
O115 0.7374 0.4206 0.0034 (multiplicity 1)  1 S 1.50
O116 0.7481 0.9507 0.2807 (multiplicity 1)  1 Si 1.68
O117 0.8754 0.7382 0.8935 (multiplicity 1)  1 Si 1.62
O118 0.8803 0.4300 0.5070 (multiplicity 1)  1 Si 1.65
O119 0.8819 0.2891 0.4456 (multiplicity 1)  1 Si 1.68
O120 0.8872 0.7519 0.1731 (multiplicity 1)  1 S 1.52
O121 0.8881 0.9559 0.7826 (multiplicity 1)  1 S 1.50
O122 0.8911 0.0750 0.5514 (multiplicity 1)  1 S 1.47
O123 0.8918 0.2833 0.1597 (multiplicity 1)  1 S 1.48
O124 0.8917 0.6053 0.8266 (multiplicity 1)  1 Si 1.63
O125 0.8930 0.0862 0.8368 (multiplicity 1)  1 S 1.50
O126 0.8960 0.4101 0.2202 (multiplicity 1)  1 S 1.47
O127 0.8956 0.6277 0.1105 (multiplicity 1)  1 S 1.49
O128 0.8960 0.9492 0.4930 (multiplicity 1)  1 S 1.48
O129 0.9183 0.0953 0.1613 (multiplicity 1)  1 S 1.48
O130 0.9194 0.7653 0.7782 (multiplicity 1)  1 Si 1.63
O131 0.9225 0.4253 0.8250 (multiplicity 1)  1 S 1.48
O132 0.9221 0.9391 0.1713 (multiplicity 1)  1 S 1.54
O133 0.9244 0.7648 0.4927 (multiplicity 1)  1 S 1.49
O134 0.9268 0.6084 0.5049 (multiplicity 1)  1 S 1.51
O135 0.9293 0.2711 0.8385 (multiplicity 1)  1 S 1.48
O136 0.9294 0.6097 0.2180 (multiplicity 1)  1 S 1.47
O137 0.9323 0.9513 0.8892 (multiplicity 1)  1 S 1.48
O138 0.9335 0.0898 0.4455 (multiplicity 1)  1 S 1.54
O139 0.9327 0.2670 0.5579 (multiplicity 1)  1 Si 1.61
O140 0.9389 0.4248 0.1133 (multiplicity 1)  1 S 1.49
O141 0.9856 0.8463 0.9981 (multiplicity 1)  1 Si 1.65
O142 0.9876 0.1931 0.3379 (multiplicity 1)  1 Si 1.66
O143 0.9966 0.5318 0.0043 (multiplicity 1)  1 S 1.48
O144 0.9991 0.5099 0.3251 (multiplicity 1)  1 S 1.47

***

MgSnRu2: relaxed, PBE-GGA.

a = 6.3452 Å, b = 6.3452 Å, c = 6.3452 Å
α = 90.00°, β = 90.00°, γ = 90.00°
With the nearest neighbours (Å) after each atom.
Space group Fm-3m (No. 225)
Symmetry-distinct sites (fractional):
Mg1 0.0000 0.0000 0.0000 (multiplicity 4)  8 Ru 2.75
Sn1 0.0000 0.0000 0.5000 (multiplicity 4)  8 Ru 2.75
Ru1 0.2500 0.2500 0.2500 (multiplicity 8)  4 Sn 2.75, 4 Mg 2.75

***

LiMoN2: relaxed, PBE-GGA.

a = 2.9152 Å, b = 2.9152 Å, c = 15.9740 Å
α = 90.00°, β = 90.00°, γ = 120.00°
With the nearest neighbours (Å) after each atom.
Space group R3m (No. 160, hexagonal axes)
Symmetry-distinct sites (fractional):
Li1 0.0000 0.0000 0.0000 (multiplicity 3)  6 N 2.15-2.27
Mo1 0.0000 0.0000 0.1721 (multiplicity 3)  6 N 2.08-2.09
N1 0.0000 0.0000 0.4284 (multiplicity 3)  3 Mo 2.08, 3 Li 2.27
N2 0.0000 0.0000 0.5833 (multiplicity 3)  3 Mo 2.09, 3 Li 2.15

***

MnZnN2: relaxed, PBE-GGA.

a = 5.4403 Å, b = 6.2687 Å, c = 5.2234 Å
α = 90.00°, β = 90.00°, γ = 90.00°
With the nearest neighbours (Å) after each atom.
Space group Pna2_1 (No. 33)
Symmetry-distinct sites (fractional):
Mn1 0.0721 0.1257 0.0000 (multiplicity 4)  4 N 1.82-1.83
Zn1 0.0875 0.6198 0.0046 (multiplicity 4)  4 N 2.05-2.07
N1 0.0633 0.1079 0.3472 (multiplicity 4)  2 Mn 1.82
N2 0.1083 0.6446 0.3958 (multiplicity 4)  2 Mn 1.83

***

NbSeBr: relaxed, PBE-GGA.

a = 10.5601 Å, b = 10.5601 Å, c = 10.5601 Å
α = 90.00°, β = 90.00°, γ = 90.00°
With the nearest neighbours (Å) after each atom.
Space group F-43m (No. 216)
Symmetry-distinct sites (fractional):
Nb1 0.1017 0.1017 0.3983 (multiplicity 16)  3 Se 2.54
Se1 0.1346 0.1346 0.6346 (multiplicity 16)  3 Nb 2.54
Br1 0.1309 0.1309 0.1309 (multiplicity 16)  3 Nb 2.86

***

KCrS2: relaxed, PBE-GGA.

a = 3.6741 Å, b = 3.6741 Å, c = 21.2298 Å
α = 90.00°, β = 90.00°, γ = 120.00°
With the nearest neighbours (Å) after each atom.
Space group R-3m (No. 166, hexagonal axes)
Symmetry-distinct sites (fractional):
K1 0.0000 0.0000 0.0000 (multiplicity 3)  6 S 3.13
Cr1 0.0000 0.0000 0.5000 (multiplicity 3)  6 S 2.46
S1 0.0000 0.0000 0.2252 (multiplicity 6)  3 Cr 2.46

***

Number 1: ΔH_f (0 K) -2.248 eV per atom. Number 2: ΔH_f (0 K) -0.130 eV per atom. Number 3: ΔH_f (0 K) -0.672 eV per atom. Number 4: ΔH_f (0 K) -0.228 eV per atom. Number 5: ΔH_f (0 K) -1.065 eV per atom. Number 6: ΔH_f (0 K) -1.187 eV per atom.